Entry 1:
12
Lattice="-2.174 -1.538 -3.097 -5.849 -0.673 4.441 -0.702 10.278 -1.917" Properties=species:S:1:pos:R:3 comment="ZrCu2Te3 PBE relaxed" delta_e_f_ev_per_atom=-0.7183 final_energy_ev_per_atom=-4.87 pbc="T T T"
Te -5.468 4.230 1.739
Te -6.293 6.717 -1.610
Te -2.432 1.351 1.036
Te -2.555 7.868 -2.113
Te -6.170 0.200 1.539
Te -3.257 3.838 -2.313
Zr -7.885 5.326 0.198
Zr -0.840 2.742 -0.772
Cu -6.589 8.011 0.649
Cu -3.256 3.774 0.412
Cu -2.136 0.057 -1.223
Cu -5.468 4.294 -0.986

***

Entry 2:
65
Lattice="-8.329 8.366 -1.044 2.398 -4.682 10.620 6.117 6.263 1.380" Properties=species:S:1:pos:R:3 comment="Th14Cu51 PBE relaxed" delta_e_f_ev_per_atom=-0.1672 final_energy_ev_per_atom=-4.98 pbc="T T T"
Cu -4.754 4.017 2.844
Cu 5.373 3.938 6.306
Cu -0.079 0.016 9.199
Cu 0.504 1.390 7.111
Cu -1.389 5.179 1.062
Cu 0.243 2.809 4.732
Cu 5.228 2.023 10.661
Cu -2.662 3.871 8.138
Cu -5.196 5.994 4.584
Cu -0.559 0.258 1.308
Cu 2.371 4.988 5.211
Cu 4.528 -0.199 9.290
Cu -2.221 4.955 5.768
Cu -0.544 2.547 9.415
Cu 4.640 4.104 3.819
Cu -2.323 3.372 3.745
Cu 1.583 4.726 9.895
Cu 4.120 4.316 10.147
Cu -1.885 11.092 0.943
Cu 3.257 4.208 7.732
Cu 1.511 0.901 3.114
Cu 0.316 9.909 1.795
Cu -0.316 8.560 3.845
Cu -1.752 2.292 6.287
Cu 1.913 7.709 4.700
Cu 2.447 6.592 7.234
Cu -4.715 7.992 3.040
Cu -0.960 10.331 5.539
Cu -2.555 10.204 3.528
Cu -4.886 2.698 9.419
Cu -3.075 5.735 3.223
Cu 0.467 7.074 8.844
Cu 2.099 -1.180 9.955
Cu -4.343 10.148 1.658
Cu -1.178 -0.332 6.732
Cu 2.850 6.041 2.881
Cu 2.104 3.538 3.076
Cu -0.261 2.857 2.180
Cu 1.174 -0.361 5.359
Cu -0.061 7.167 6.255
Cu 0.771 7.391 1.549
Cu -4.995 7.908 0.242
Cu 1.912 -3.954 9.469
Cu -4.495 5.902 7.128
Cu -3.920 5.572 0.839
Cu -1.385 9.087 7.829
Cu -0.991 5.057 9.900
Cu 1.181 4.884 1.058
Cu 4.879 1.951 7.878
Cu -1.923 6.412 7.885
Cu 2.751 -0.228 7.399
Th 0.283 4.386 7.300
Th 1.858 1.902 0.419
Th 0.770 -2.398 7.474
Th -6.780 6.202 1.907
Th -0.112 5.572 3.672
Th -2.884 0.881 8.788
Th -4.609 3.211 5.859
Th -2.783 7.805 5.376
Th -2.872 2.637 0.766
Th 2.391 1.863 9.409
Th -1.419 0.519 3.934
Th 4.259 4.361 0.961
Th -2.190 8.067 1.554
Th 2.968 2.148 5.556